# Cs2SrV4O12, relaxed, DFT PBE+U
# - Raw total energy: -6.99 eV per atom
data_Cs2SrV4O12
_symmetry_space_group_name_H-M 'P 4/m m m'
_symmetry_Int_Tables_number 123
_symmetry_space_group_name_Hall '-P 4 2'
_cell_length_a 8.0697
_cell_length_b 8.0697
_cell_length_c 5.7080
_cell_angle_alpha 90.00
_cell_angle_beta 90.00
_cell_angle_gamma 90.00
loop_
_atom_site_label
_atom_site_type_symbol
_atom_site_fract_x
_atom_site_fract_y
_atom_site_fract_z
Cs1 Cs 0.0000 0.5000 0.0000
Sr1 Sr 0.0000 0.0000 0.0000
V1 V 0.2776 0.2776 0.5000
O1 O 0.1939 0.1939 0.2584
O2 O 0.2380 0.5000 0.5000

---

# Sm6Fe6As6O5F, relaxed, DFT PBE+U
# - Raw total energy: -6.53 eV per atom
data_Sm6Fe6As6O5F
_symmetry_space_group_name_H-M 'P 1 21/m 1'
_symmetry_Int_Tables_number 11
_cell_length_a 8.0317
_cell_length_b 12.0174
_cell_length_c 9.9306
_cell_angle_alpha 90.00
_cell_angle_beta 113.78
_cell_angle_gamma 90.00
loop_
_symmetry_equiv_pos_as_xyz
'x,y,z'
'-x,-y,-z'
'-x,y+1/2,-z'
'x,-y+1/2,z'
loop_
_atom_site_label
_atom_site_type_symbol
_atom_site_fract_x
_atom_site_fract_y
_atom_site_fract_z
Sm1 Sm 0.1792 0.2500 0.1318
Sm2 Sm 0.1892 0.5827 0.1281
Sm3 Sm 0.2951 0.7500 0.8636
Sm4 Sm 0.3074 0.0738 0.8647
Fe1 Fe 0.1264 0.2500 0.5038
Fe2 Fe 0.1293 0.5830 0.4998
Fe3 Fe 0.3737 0.7500 0.4969
Fe4 Fe 0.3791 0.0830 0.5021
As1 As 0.0310 0.7500 0.3138
As2 As 0.0341 0.0846 0.3179
As3 As 0.4672 0.2500 0.6870
As4 As 0.4698 0.5856 0.6868
O1 O 0.1249 0.7500 0.9991
O2 O 0.1285 0.0848 0.9983
O3 O 0.3790 0.5870 0.9983
F1 F 0.3745 0.2500 0.9991

---

# SrV6O11, relaxed, DFT PBE+U
# - Relative energy among the computed polymorphs: 0.394 eV per atom
data_SrV6O11
_symmetry_space_group_name_H-M 'P 63/m m c'
_symmetry_Int_Tables_number 194
_symmetry_space_group_name_Hall '-P 6c 2c'
_cell_length_a 6.1218
_cell_length_b 6.1218
_cell_length_c 13.2947
_cell_angle_alpha 90.00
_cell_angle_beta 90.00
_cell_angle_gamma 120.00
loop_
_atom_site_label
_atom_site_type_symbol
_atom_site_fract_x
_atom_site_fract_y
_atom_site_fract_z
Sr1 Sr 0.3333 0.6667 0.2500
V1 V 0.0000 0.0000 0.1446
V2 V 0.0000 0.5000 0.0000
V3 V 0.3333 0.6667 0.7500
O1 O 0.1233 0.2465 0.2500
O2 O 0.1698 0.3396 0.0730
O3 O 0.3333 0.6667 0.5992

---

| no. | ρ (g/cm3) |
| --- | --- |
| 1 | 3.347 |
| 2 | 6.761 |
| 3 | 4.381 |